No. 1
Entry from the Materials Project database: crystalline CdI2 at its relaxed geometry (PBE).

## Properties
final energy	-1.909	eV/atom
crystal system	trigonal
energy of formation	-2.515	eV/f.u.

a = 4.3328 Å, b = 4.3328 Å, c = 67.3656 Å
α = 90.00°, β = 90.00°, γ = 120.00°
Closest atoms and distances in Å follow each position.
Space group P3m1 (No. 156)
Symmetry-distinct sites (fractional):
Cd (0.0000, 0.0000, 0.0000)  6 I 3.04
Cd (0.0000, 0.0000, 0.1111)  6 I 3.04
Cd (0.0000, 0.0000, 0.3333)  6 I 3.04
Cd (0.0000, 0.0000, 0.5555)  6 I 3.04
Cd (0.0000, 0.0000, 0.7778)  6 I 3.04
Cd (0.6667, 0.3333, 0.2223)  6 I 3.04
Cd (0.6667, 0.3333, 0.4445)  6 I 3.04
Cd (0.6667, 0.3333, 0.6667)  6 I 3.04
Cd (0.6667, 0.3333, 0.8889)  6 I 3.04
I (0.0000, 0.0000, 0.1966)  3 Cd 3.04
I (0.0000, 0.0000, 0.4189)  3 Cd 3.04
I (0.0000, 0.0000, 0.6411)  3 Cd 3.04
I (0.0000, 0.0000, 0.8633)  3 Cd 3.04
I (0.3333, 0.6667, 0.0256)  3 Cd 3.04
I (0.3333, 0.6667, 0.1367)  3 Cd 3.04
I (0.3333, 0.6667, 0.2479)  3 Cd 3.04
I (0.3333, 0.6667, 0.3590)  3 Cd 3.04
I (0.3333, 0.6667, 0.4701)  3 Cd 3.04
I (0.3333, 0.6667, 0.5811)  3 Cd 3.04
I (0.3333, 0.6667, 0.6923)  3 Cd 3.04
I (0.3333, 0.6667, 0.8034)  3 Cd 3.04
I (0.3333, 0.6667, 0.9146)  3 Cd 3.04
I (0.6667, 0.3333, 0.0855)  3 Cd 3.04
I (0.6667, 0.3333, 0.3077)  3 Cd 3.04
I (0.6667, 0.3333, 0.5299)  3 Cd 3.04
I (0.6667, 0.3333, 0.7522)  3 Cd 3.04
I (0.6667, 0.3333, 0.9744)  3 Cd 3.04

---

No. 2
Entry from the Materials Project database: crystalline CdI2 at its relaxed geometry (PBE).

## Properties
final energy	-1.909	eV/atom
crystal system	trigonal
energy of formation	-2.513	eV/f.u.

a = 4.3324 Å, b = 4.3324 Å, c = 22.1608 Å
α = 90.00°, β = 90.00°, γ = 120.00°
Closest atoms and distances in Å follow each position.
Space group P-3m1 (No. 164)
Symmetry-distinct sites (fractional):
Cd (0.0000, 0.0000, 0.0000)  6 I 3.04
Cd (0.3333, 0.6667, 0.6669)  6 I 3.04
I (0.0000, 0.0000, 0.2552)  3 Cd 3.04
I (0.3333, 0.6667, 0.0779)  3 Cd 3.04
I (0.3333, 0.6667, 0.4111)  3 Cd 3.04

---

No. 3
Entry from the Materials Project database: crystalline CdI2 at its relaxed geometry (PBE).

## Properties
final energy	-1.908	eV/atom
spin magnetization	0.0	μB per formula unit
crystal system	trigonal
energy of formation	-2.512	eV/f.u.

a = 4.3420 Å, b = 4.3420 Å, c = 139.5824 Å
α = 90.00°, β = 90.00°, γ = 120.00°
Closest atoms and distances in Å follow each position.
Space group P3m1 (No. 156)
Symmetry-distinct sites (fractional):
Cd (0.0000, 0.0000, 0.0000)  6 I 3.05
Cd (0.0000, 0.0000, 0.1053)  6 I 3.04-3.05
Cd (0.0000, 0.0000, 0.2105)  6 I 3.05
Cd (0.0000, 0.0000, 0.2632)  6 I 3.04-3.05
Cd (0.0000, 0.0000, 0.3684)  6 I 3.05
Cd (0.0000, 0.0000, 0.4737)  6 I 3.04-3.05
Cd (0.0000, 0.0000, 0.5790)  6 I 3.05
Cd (0.0000, 0.0000, 0.6842)  6 I 3.04-3.05
Cd (0.0000, 0.0000, 0.7895)  6 I 3.05
Cd (0.0000, 0.0000, 0.8947)  6 I 3.04-3.05
Cd (0.3333, 0.6667, 0.0526)  6 I 3.05
Cd (0.3333, 0.6667, 0.1579)  6 I 3.05
Cd (0.3333, 0.6667, 0.3158)  6 I 3.04-3.05
Cd (0.3333, 0.6667, 0.4211)  6 I 3.05
Cd (0.3333, 0.6667, 0.5263)  6 I 3.04-3.05
Cd (0.3333, 0.6667, 0.6316)  6 I 3.04-3.05
Cd (0.3333, 0.6667, 0.7368)  6 I 3.04-3.05
Cd (0.3333, 0.6667, 0.8421)  6 I 3.04-3.05
Cd (0.3333, 0.6667, 0.9474)  6 I 3.05
I (0.0000, 0.0000, 0.0650)  3 Cd 3.05
I (0.0000, 0.0000, 0.1703)  3 Cd 3.05
I (0.0000, 0.0000, 0.3282)  3 Cd 3.04
I (0.0000, 0.0000, 0.4334)  3 Cd 3.05
I (0.0000, 0.0000, 0.5387)  3 Cd 3.05
I (0.0000, 0.0000, 0.6440)  3 Cd 3.04
I (0.0000, 0.0000, 0.7492)  3 Cd 3.05
I (0.0000, 0.0000, 0.8545)  3 Cd 3.04
I (0.0000, 0.0000, 0.9598)  3 Cd 3.05
I (0.3333, 0.6667, 0.0124)  3 Cd 3.05
I (0.3333, 0.6667, 0.1176)  3 Cd 3.05
I (0.3333, 0.6667, 0.2229)  3 Cd 3.05
I (0.3333, 0.6667, 0.2756)  3 Cd 3.05
I (0.3333, 0.6667, 0.3808)  3 Cd 3.05
I (0.3333, 0.6667, 0.4861)  3 Cd 3.05
I (0.3333, 0.6667, 0.5914)  3 Cd 3.05
I (0.3333, 0.6667, 0.6966)  3 Cd 3.05
I (0.3333, 0.6667, 0.8019)  3 Cd 3.05
I (0.3333, 0.6667, 0.9071)  3 Cd 3.05
I (0.6667, 0.3333, 0.0402)  3 Cd 3.05
I (0.6667, 0.3333, 0.0929)  3 Cd 3.04
I (0.6667, 0.3333, 0.1455)  3 Cd 3.05
I (0.6667, 0.3333, 0.1981)  3 Cd 3.05
I (0.6667, 0.3333, 0.2508)  3 Cd 3.04
I (0.6667, 0.3333, 0.3034)  3 Cd 3.05
I (0.6667, 0.3333, 0.3560)  3 Cd 3.05
I (0.6667, 0.3333, 0.4087)  3 Cd 3.05
I (0.6667, 0.3333, 0.4613)  3 Cd 3.04
I (0.6667, 0.3333, 0.5140)  3 Cd 3.04
I (0.6667, 0.3333, 0.5666)  3 Cd 3.05
I (0.6667, 0.3333, 0.6192)  3 Cd 3.05
I (0.6667, 0.3333, 0.6718)  3 Cd 3.04
I (0.6667, 0.3333, 0.7245)  3 Cd 3.04
I (0.6667, 0.3333, 0.7771)  3 Cd 3.05
I (0.6667, 0.3333, 0.8297)  3 Cd 3.05
I (0.6667, 0.3333, 0.8824)  3 Cd 3.04
I (0.6667, 0.3333, 0.9350)  3 Cd 3.05
I (0.6667, 0.3333, 0.9876)  3 Cd 3.05

---

No. 4
Entry from the Materials Project database: crystalline CdI2 at its relaxed geometry (PBE).

## Properties
final energy	-1.908	eV/atom
crystal system	trigonal
energy of formation	-2.512	eV/f.u.

a = 4.3441 Å, b = 4.3441 Å, c = 73.6412 Å
α = 90.00°, β = 90.00°, γ = 120.00°
Closest atoms and distances in Å follow each position.
Space group P3m1 (No. 156)
Symmetry-distinct sites (fractional):
Cd (0.0000, 0.0000, 0.0000)  6 I 3.05
Cd (0.0000, 0.0000, 0.1000)  6 I 3.05
Cd (0.0000, 0.0000, 0.3000)  6 I 3.05
Cd (0.0000, 0.0000, 0.4000)  6 I 3.05
Cd (0.0000, 0.0000, 0.6000)  6 I 3.05
Cd (0.0000, 0.0000, 0.8000)  6 I 3.05
Cd (0.6667, 0.3333, 0.2000)  6 I 3.05
Cd (0.6667, 0.3333, 0.5000)  6 I 3.05
Cd (0.6667, 0.3333, 0.7000)  6 I 3.05
Cd (0.6667, 0.3333, 0.9000)  6 I 3.05
I (0.0000, 0.0000, 0.1765)  3 Cd 3.05
I (0.0000, 0.0000, 0.4765)  3 Cd 3.05
I (0.0000, 0.0000, 0.6765)  3 Cd 3.05
I (0.0000, 0.0000, 0.8765)  3 Cd 3.05
I (0.3333, 0.6667, 0.0235)  3 Cd 3.05
I (0.3333, 0.6667, 0.1235)  3 Cd 3.05
I (0.3333, 0.6667, 0.2235)  3 Cd 3.05
I (0.3333, 0.6667, 0.3235)  3 Cd 3.05
I (0.3333, 0.6667, 0.4235)  3 Cd 3.05
I (0.3333, 0.6667, 0.5235)  3 Cd 3.05
I (0.3333, 0.6667, 0.6235)  3 Cd 3.05
I (0.3333, 0.6667, 0.7235)  3 Cd 3.05
I (0.3333, 0.6667, 0.8235)  3 Cd 3.05
I (0.3333, 0.6667, 0.9235)  3 Cd 3.05
I (0.6667, 0.3333, 0.0765)  3 Cd 3.05
I (0.6667, 0.3333, 0.2765)  3 Cd 3.05
I (0.6667, 0.3333, 0.3765)  3 Cd 3.05
I (0.6667, 0.3333, 0.5765)  3 Cd 3.05
I (0.6667, 0.3333, 0.7765)  3 Cd 3.05
I (0.6667, 0.3333, 0.9765)  3 Cd 3.05

---

No. 5
Entry from the Materials Project database: crystalline CdI2 at its relaxed geometry (PBE).

## Properties
final energy	-1.909	eV/atom
crystal system	trigonal
energy of formation	-2.514	eV/f.u.

a = 4.3375 Å, b = 4.3375 Å, c = 88.9271 Å
α = 90.00°, β = 90.00°, γ = 120.00°
Closest atoms and distances in Å follow each position.
Space group P3m1 (No. 156)
Symmetry-distinct sites (fractional):
Cd (0.0000, 0.0000, 0.0000)  6 I 3.04
Cd (0.0000, 0.0000, 0.0834)  6 I 3.04
Cd (0.0000, 0.0000, 0.1667)  6 I 3.04
Cd (0.0000, 0.0000, 0.2500)  6 I 3.04
Cd (0.0000, 0.0000, 0.3333)  6 I 3.04
Cd (0.0000, 0.0000, 0.4167)  6 I 3.04
Cd (0.0000, 0.0000, 0.5000)  6 I 3.04
Cd (0.0000, 0.0000, 0.5834)  6 I 3.04
Cd (0.0000, 0.0000, 0.7500)  6 I 3.04
Cd (0.0000, 0.0000, 0.8333)  6 I 3.04
Cd (0.3333, 0.6667, 0.6667)  6 I 3.04
Cd (0.3333, 0.6667, 0.9167)  6 I 3.04
I (0.0000, 0.0000, 0.6860)  3 Cd 3.04
I (0.0000, 0.0000, 0.9361)  3 Cd 3.04
I (0.3333, 0.6667, 0.0194)  3 Cd 3.04
I (0.3333, 0.6667, 0.1027)  3 Cd 3.04
I (0.3333, 0.6667, 0.1860)  3 Cd 3.04
I (0.3333, 0.6667, 0.2694)  3 Cd 3.04
I (0.3333, 0.6667, 0.3527)  3 Cd 3.04
I (0.3333, 0.6667, 0.4361)  3 Cd 3.04
I (0.3333, 0.6667, 0.5194)  3 Cd 3.04
I (0.3333, 0.6667, 0.6027)  3 Cd 3.04
I (0.3333, 0.6667, 0.7694)  3 Cd 3.04
I (0.3333, 0.6667, 0.8527)  3 Cd 3.04
I (0.6667, 0.3333, 0.0640)  3 Cd 3.04
I (0.6667, 0.3333, 0.1473)  3 Cd 3.04
I (0.6667, 0.3333, 0.2307)  3 Cd 3.04
I (0.6667, 0.3333, 0.3140)  3 Cd 3.04
I (0.6667, 0.3333, 0.3973)  3 Cd 3.04
I (0.6667, 0.3333, 0.4806)  3 Cd 3.04
I (0.6667, 0.3333, 0.5640)  3 Cd 3.04
I (0.6667, 0.3333, 0.6473)  3 Cd 3.04
I (0.6667, 0.3333, 0.7307)  3 Cd 3.04
I (0.6667, 0.3333, 0.8139)  3 Cd 3.04
I (0.6667, 0.3333, 0.8973)  3 Cd 3.04
I (0.6667, 0.3333, 0.9806)  3 Cd 3.04

---

No. 6
Entry from the Materials Project database: crystalline CdI2 at its relaxed geometry (PBE).

## Properties
final energy	-1.910	eV/atom
spin magnetization	0.0	μB per formula unit
crystal system	trigonal
energy of formation	-2.517	eV/f.u.

a = 4.3350 Å, b = 4.3350 Å, c = 91.8721 Å
α = 90.00°, β = 90.00°, γ = 120.00°
Closest atoms and distances in Å follow each position.
Space group P3m1 (No. 156)
Symmetry-distinct sites (fractional):
Cd (0.0000, 0.0000, 0.0000)  6 I 3.04
Cd (0.0000, 0.0000, 0.0833)  6 I 3.04
Cd (0.0000, 0.0000, 0.1667)  6 I 3.04
Cd (0.0000, 0.0000, 0.3333)  6 I 3.04
Cd (0.0000, 0.0000, 0.4167)  6 I 3.04
Cd (0.0000, 0.0000, 0.5833)  6 I 3.04
Cd (0.0000, 0.0000, 0.7500)  6 I 3.04
Cd (0.0000, 0.0000, 0.8333)  6 I 3.04
Cd (0.6667, 0.3333, 0.2500)  6 I 3.04
Cd (0.6667, 0.3333, 0.5000)  6 I 3.04
Cd (0.6667, 0.3333, 0.6667)  6 I 3.04
Cd (0.6667, 0.3333, 0.9167)  6 I 3.04
I (0.0000, 0.0000, 0.2312)  3 Cd 3.04
I (0.0000, 0.0000, 0.4813)  3 Cd 3.04
I (0.0000, 0.0000, 0.6479)  3 Cd 3.04
I (0.0000, 0.0000, 0.8979)  3 Cd 3.04
I (0.3333, 0.6667, 0.0187)  3 Cd 3.04
I (0.3333, 0.6667, 0.1021)  3 Cd 3.04
I (0.3333, 0.6667, 0.1854)  3 Cd 3.04
I (0.3333, 0.6667, 0.2687)  3 Cd 3.04
I (0.3333, 0.6667, 0.3521)  3 Cd 3.04
I (0.3333, 0.6667, 0.4354)  3 Cd 3.04
I (0.3333, 0.6667, 0.5188)  3 Cd 3.04
I (0.3333, 0.6667, 0.6021)  3 Cd 3.04
I (0.3333, 0.6667, 0.6854)  3 Cd 3.04
I (0.3333, 0.6667, 0.7687)  3 Cd 3.04
I (0.3333, 0.6667, 0.8521)  3 Cd 3.04
I (0.3333, 0.6667, 0.9354)  3 Cd 3.04
I (0.6667, 0.3333, 0.0646)  3 Cd 3.04
I (0.6667, 0.3333, 0.1479)  3 Cd 3.04
I (0.6667, 0.3333, 0.3146)  3 Cd 3.04
I (0.6667, 0.3333, 0.3979)  3 Cd 3.04
I (0.6667, 0.3333, 0.5646)  3 Cd 3.04
I (0.6667, 0.3333, 0.7312)  3 Cd 3.04
I (0.6667, 0.3333, 0.8146)  3 Cd 3.04
I (0.6667, 0.3333, 0.9813)  3 Cd 3.04